(1)
## K2InSbBr6 (PBE)

Data for a relaxed K2InSbBr6 crystal.

Values from the calculation:
- ΔE_f (eV/atom) = -1.38
- energy (eV per atom) = -2.95

```
10
Lattice="0.000 5.861 5.861 5.861 0.000 5.861 5.861 5.861 0.000" Properties=species:S:1:pos:R:3 pbc="T T T"
Sb 0.000 0.000 0.000
K 2.931 2.931 2.931
K 8.792 8.792 8.792
Br 2.824 5.861 5.861
Br 5.861 5.861 8.899
Br 5.861 5.861 2.824
Br 5.861 2.824 5.861
Br 8.899 5.861 5.861
Br 5.861 8.899 5.861
In 5.861 5.861 5.861
```


(2)
## K5Na3Ta4Nb4O20 (PBE)

Data for a relaxed K5Na3Ta4Nb4O20 crystal.

Values from the calculation:
- ΔE_f (eV/atom) = -2.62
- energy (eV per atom) = -7.70

```
144
Lattice="-9.773 5.386 2.570 -5.739 -7.166 -6.865 5.550 -8.957 14.357" Properties=species:S:1:pos:R:3 pbc="T T T"
O -0.867 -3.888 4.509
O -2.522 -3.384 9.915
O 1.998 -8.142 11.549
O -3.543 -10.221 1.702
O -6.971 -5.689 4.582
O -6.556 -8.624 12.265
O -5.399 -2.621 12.305
O -1.871 -8.534 10.541
O -3.330 -12.393 4.508
O -4.488 -6.939 3.881
O -8.233 -9.703 5.773
O -1.637 -11.351 10.948
O -8.029 -2.116 -0.699
O -6.525 -0.603 8.517
O 0.831 -4.727 6.644
O -1.041 -11.605 8.160
O -5.196 1.444 2.728
O -5.631 -8.989 9.507
O -1.038 -0.973 4.214
O -9.315 -7.026 5.820
O -0.642 -14.493 8.598
O -4.094 -1.681 0.432
O -3.070 -5.250 5.676
O -8.933 1.105 1.741
O 1.189 -7.762 14.334
O -4.341 -9.638 4.559
O -14.070 -4.052 -0.686
O -7.982 -10.433 10.537
O -5.971 1.778 5.548
O -0.657 -6.635 5.075
O -3.500 0.384 4.821
O -5.519 -3.922 6.393
O -7.549 -7.740 0.194
O -1.290 -6.170 7.799
O -5.757 -6.134 9.256
O -4.102 -10.011 11.626
O -11.159 -0.434 2.737
O -3.119 -4.372 1.352
O -6.943 -5.206 -3.024
O -4.776 -11.954 7.089
O -3.192 -4.755 -1.872
O -8.347 -5.127 9.745
O -8.667 -4.714 2.484
O -3.125 -13.214 9.271
O -7.993 -2.574 7.060
O -2.866 -5.408 12.831
O -9.675 -9.224 8.364
O -6.374 -3.192 1.431
O -2.094 -8.319 3.274
O -5.568 -11.855 9.946
O -0.236 -1.233 1.417
O -5.799 -1.101 5.848
O -8.730 -1.787 2.154
O -2.632 -8.220 13.331
O 3.666 -9.105 13.706
O 2.419 -6.010 8.638
O -5.968 -8.866 2.308
O -4.068 -2.037 7.950
O -10.855 -6.178 3.576
O -3.778 -7.327 1.188
O -4.758 -4.124 3.608
O -6.183 -3.222 9.247
O -1.615 -3.401 7.300
O -0.423 -5.234 11.079
O -12.409 -4.951 1.521
O -6.645 -5.652 12.077
O -9.431 -4.310 5.223
O 0.249 -8.558 8.520
O -8.428 -7.575 2.992
O 0.799 -12.617 10.263
O -9.584 -1.445 4.955
O -1.212 -6.399 14.960
O -0.210 -9.570 12.666
O -3.667 -5.004 15.586
O -5.099 -6.896 14.028
O -5.299 -6.805 6.541
O -0.663 -9.479 5.381
O 2.217 -10.922 12.084
O -11.850 -2.480 -1.670
O -3.271 -8.516 7.676
Na -3.719 -4.582 8.120
Na 0.593 -10.029 10.393
Na -4.856 -1.531 10.211
Na -6.590 -8.167 4.792
Na -1.761 -10.864 3.459
Na 1.247 -7.177 6.874
Na 0.029 -4.375 8.920
Na -2.211 -5.648 3.117
Na -5.457 -4.484 13.888
Na -8.209 0.225 6.601
Na -2.879 -7.862 5.534
Na -0.544 -7.169 12.531
K -6.247 -6.007 1.890
K -7.190 -2.876 4.212
K -3.428 -10.630 9.055
K -9.431 -3.902 -2.395
K -3.283 -2.404 5.254
K -4.269 -7.229 11.423
K -7.736 -5.363 7.199
K -10.441 -0.707 0.022
K -10.020 -6.432 0.750
K -5.138 -9.107 -0.521
K -7.551 2.869 3.415
K -11.053 -3.224 3.180
K -2.686 0.129 2.121
K -6.572 -0.343 1.042
K -7.161 -10.735 7.994
K -5.632 -3.408 -1.352
K -1.590 -2.949 -0.265
K -2.324 -13.480 6.699
K -8.219 -7.735 10.181
K -4.548 -6.569 -3.666
Ta -4.024 -8.518 2.710
Ta -6.044 -10.267 11.141
Ta -0.135 -8.120 3.834
Ta -6.026 -2.236 7.412
Ta -4.880 2.685 1.280
Ta -8.918 -5.860 4.017
Ta 1.707 -9.393 13.278
Ta -9.933 -10.717 10.044
Ta 2.761 -4.485 7.205
Ta -5.018 -5.395 5.082
Ta -2.132 -1.840 8.502
Ta -2.188 -9.839 12.175
Ta -3.158 -6.695 14.564
Ta -7.067 -7.130 13.490
Ta -1.157 -12.949 9.814
Ta -1.135 -4.987 6.120
Nb 2.796 -6.894 10.315
Nb -4.474 -3.128 1.852
Nb -12.191 -3.855 -0.196
Nb -1.682 -7.852 8.713
Nb -5.408 0.306 4.431
Nb -8.293 -3.302 0.979
Nb -9.321 -0.300 3.272
Nb -9.793 -8.724 6.525
Nb -4.956 -7.659 8.252
Nb -2.042 -4.183 11.607
Nb -3.331 -5.814 -0.147
Nb -0.403 -2.494 3.104
Nb -6.566 -4.764 10.344
Nb -4.834 -11.336 5.282
Nb -0.492 -9.949 7.275
Nb -7.323 -6.607 -1.548
```


(3)
## Li3AlSiO5 (PBE)

Data for a relaxed Li3AlSiO5 crystal.

Values from the calculation:
- ΔE_f (eV/atom) = -2.97
- energy (eV per atom) = -6.59

```
40
Lattice="-4.078 0.701 -2.515 -2.704 -2.992 3.552 -3.034 12.826 8.496" Properties=species:S:1:pos:R:3 pbc="T T T"
O -4.892 2.195 1.006
O -7.012 4.708 5.238
O -1.879 1.156 0.550
O -7.404 6.905 6.786
O -2.547 3.653 2.664
O -7.098 12.282 7.488
O -4.195 11.020 7.646
O -5.403 8.421 8.232
O -6.440 10.043 6.098
O -8.365 9.451 8.720
O -4.126 3.444 4.832
O -5.035 4.606 2.558
O -6.489 1.735 3.468
O -3.201 5.894 4.051
O -3.806 8.882 5.770
O -3.511 0.514 3.353
O -3.116 -1.679 1.801
O -4.693 5.913 7.030
O -5.532 -0.501 1.942
O -6.118 7.164 4.438
Al -6.088 1.187 1.830
Al -5.038 3.959 0.899
Al -5.988 6.783 7.889
Al -4.938 9.555 6.958
Li -4.317 6.927 5.233
Li -4.406 1.344 -0.841
Li -3.101 1.822 1.839
Li -6.696 3.813 3.562
Li -2.528 -0.673 0.234
Li -8.468 11.410 8.572
Li -6.607 9.396 9.636
Li -5.624 6.601 2.619
Li -6.237 9.051 4.277
Li -4.776 1.689 4.519
Li -7.911 8.918 6.956
Li -5.372 4.136 6.187
Si -4.161 -0.957 2.804
Si -3.729 4.431 3.606
Si -6.834 11.694 6.003
Si -7.265 6.306 5.201
```


(4)
## KCaCl3 (PBE)

Data for a relaxed KCaCl3 crystal.

Values from the calculation:
- ΔE_f (eV/atom) = -2.57
- energy (eV per atom) = -3.93

```
5
Lattice="5.394 0.000 0.000 0.000 5.394 0.000 0.000 0.000 5.394" Properties=species:S:1:pos:R:3 pbc="T T T"
Cl 0.000 2.697 2.697
Cl 2.697 2.697 0.000
Cl 2.697 0.000 2.697
Ca 2.697 2.697 2.697
K 0.000 0.000 0.000
```


(5)
## CuGeI3 (PBE)

Data for a relaxed CuGeI3 crystal.

Values from the calculation:
- ΔE_f (eV/atom) = -0.04
- energy (eV per atom) = -2.47
- excess energy over the best structure of this formula in the dataset (eV per atom) = 0.203

```
10
Lattice="-4.051 4.051 5.497 4.051 -4.051 5.497 4.051 4.051 -5.497" Properties=species:S:1:pos:R:3 pbc="T T T"
I -1.293 2.758 5.497
I 1.293 2.758 0.000
I 0.000 0.000 2.749
I 0.000 0.000 8.246
I 2.758 1.293 5.497
I 5.344 1.293 0.000
Ge 0.000 0.000 5.497
Ge 0.000 0.000 0.000
Cu 0.000 4.051 2.749
Cu 4.051 0.000 2.749
```


(6)
## ZnCr2N2 (PBE)

Data for a relaxed ZnCr2N2 crystal.

Values from the calculation:
- ΔE_f (eV/atom) = 0.30
- energy (eV per atom) = -7.01

```
5
Lattice="3.672 0.000 0.000 0.000 3.672 0.000 0.000 0.000 5.404" Properties=species:S:1:pos:R:3 pbc="T T T"
N 0.000 1.836 1.285
N 1.836 0.000 4.119
Zn 1.836 1.836 0.000
Cr 0.000 0.000 1.338
Cr 0.000 0.000 4.066
```


What is the energy in the second record? -7.70 eV per atom